Record 1
A geometry-optimized TiP4O12 structure, computed with PBE.

Unit cell a=12.9959 b=8.3318 c=9.3034 alpha=90.00 beta=90.00 gamma=90.00
Space group Pbcn (No. 60)
Asymmetric unit:
Ti  0.0000  0.1519  0.2500 x4
P  0.1473  0.3188  0.0061 x8
P  0.1483  0.0371  0.5177 x8
O  0.0694  0.0241  0.6367 x8
O  0.0733  0.2992  0.1346 x8
O  0.1156  0.1345  0.3879 x8
O  0.1176  0.4118  0.8797 x8
O  0.1828  0.1363  0.9649 x8
O  0.2482  0.1167  0.5847 x8

Results
E above lowest polymorph, eV per atom: 0.000

Record 2
A geometry-optimized LiCuPO4 structure, computed with PBE.

Unit cell a=4.8944 b=9.7627 c=7.4330 alpha=90.00 beta=98.41 gamma=90.00
Space group P2_1 (No. 4)
Asymmetric unit:
Li  0.1491  0.0000  0.2471 x2
Li  0.2003  0.0527  0.7831 x2
Cu  0.3711  0.7428  0.9400 x2
Cu  0.4128  0.4056  0.4595 x2
P  0.2678  0.6455  0.5543 x2
P  0.2710  0.4417  0.0448 x2
O  0.0441  0.9524  0.9820 x2
O  0.0943  0.5366  0.4299 x2
O  0.1384  0.6591  0.7332 x2
O  0.2824  0.7842  0.4551 x2
O  0.3837  0.3641  0.8880 x2
O  0.3930  0.3456  0.2110 x2
O  0.4094  0.5830  0.0943 x2
O  0.4431  0.0756  0.4076 x2

Results
E above lowest polymorph, eV per atom: 0.065

Record 3
A geometry-optimized LuSnRh2 structure, computed with PBE.

Unit cell a=6.5820 b=6.5820 c=6.5820 alpha=90.00 beta=90.00 gamma=90.00
Space group Fm-3m (No. 225)
Asymmetric unit:
Lu  0.0000  0.0000  0.0000 x4
Sn  0.0000  0.0000  0.5000 x4
Rh  0.2500  0.2500  0.2500 x8

Record 4
A geometry-optimized BaCuO2 structure, computed with PBE.

Unit cell a=5.7571 b=11.7596 c=3.7729 alpha=90.00 beta=90.00 gamma=90.00
Space group Pbam (No. 55)
Asymmetric unit:
Ba  0.0008  0.1376  0.0000 x4
Cu  0.0004  0.3765  0.5000 x4
O  0.2290  0.5001  0.5000 x4
O  0.2495  0.7501  0.5000 x4

Number 1: calculated total energy -7.49 eV per atom, calculated formation energy -2.7444 eV/atom. Number 2: calculated total energy -6.20 eV per atom, calculated formation energy -2.1317 eV/atom. Number 3: calculated total energy -6.67 eV per atom, calculated formation energy -0.8563 eV/atom. Number 4: calculated total energy -5.52 eV per atom, calculated formation energy -1.8869 eV/atom.